The following is a PBE+U calculation of a relaxed structure of La6Mn3O14, from the Materials Project database.

Cell lengths 5.5720, 5.5963, 21.0974 Å; angles 74.72, 90.00, 90.00 degrees
Sites, in units of the cell vectors:
La  0.0209  0.7336  0.0085
O  0.7518  0.1145  0.3816
O  0.0278  0.0799  0.7002
O  0.2522  0.5904  0.4181
O  0.7516  0.6071  0.4002
O  0.2533  0.0989  0.3998
La  0.5041  0.1046  0.1774
O  0.7603  0.3936  0.5972
La  0.9791  0.7336  0.5085
O  0.2484  0.6071  0.9002
O  0.7585  0.9149  0.0975
O  0.7642  0.3982  0.0858
O  0.5654  0.4659  0.2143
O  0.4579  0.9110  0.2991
La  0.4880  0.4432  0.3191
Mn  0.4963  0.8522  0.9022
O  0.7478  0.5904  0.9181
O  0.5560  0.8157  0.4917
La  0.4924  0.2176  0.5100
O  0.9541  0.5111  0.7929
O  0.0460  0.1994  0.0036
La  0.9870  0.9186  0.8168
O  0.2358  0.3982  0.5858
Mn  0.9949  0.1476  0.5980
O  0.2397  0.3936  0.0972
La  0.9725  0.5711  0.1767
O  0.4440  0.8157  0.9917
La  0.0275  0.5711  0.6767
O  0.9540  0.1994  0.5036
Mn  0.9984  0.3454  0.4034
Mn  0.0051  0.1476  0.0980
La  0.5120  0.4432  0.8191
O  0.0459  0.5111  0.2929
O  0.7467  0.0989  0.8998
O  0.7582  0.9011  0.6110
Mn  0.0016  0.3454  0.9034
Mn  0.5037  0.8522  0.4022
O  0.5421  0.9110  0.7991
O  0.9722  0.0799  0.2002
La  0.4959  0.1046  0.6774
O  0.2415  0.9149  0.5975
La  0.0130  0.9186  0.3168
O  0.4346  0.4659  0.7143
O  0.2482  0.1145  0.8816
O  0.2418  0.9011  0.1110
La  0.5076  0.2176  0.0100

Output
- energy (eV/atom) = -8.036
- formation energy (kJ per mole of atoms) = -307